Entry 1:
Here is a relaxed LiFe6Ge6 crystal from the Materials Project. Energies are from r2SCAN.

a b c (Å): 8.6882 8.6882 8.1002
angles (deg): 90.00 90.00 120.00
Atoms (fractional coordinates):
Li (0.0000, 0.0000, 0.0000)
Li (0.3333, 0.6667, 0.5000)
Li (0.6667, 0.3333, 0.5000)
Fe (0.0000, 0.5000, 0.2443)
Fe (0.0000, 0.5000, 0.7557)
Fe (0.1668, 0.3336, 0.2530)
Fe (0.1668, 0.3336, 0.7470)
Fe (0.1668, 0.8332, 0.2530)
Fe (0.1668, 0.8332, 0.7470)
Fe (0.3336, 0.1668, 0.2530)
Fe (0.3336, 0.1668, 0.7470)
Fe (0.5000, 0.0000, 0.2443)
Fe (0.5000, 0.0000, 0.7557)
Fe (0.5000, 0.5000, 0.2443)
Fe (0.5000, 0.5000, 0.7557)
Fe (0.6664, 0.8332, 0.2530)
Fe (0.6664, 0.8332, 0.7470)
Fe (0.8332, 0.1668, 0.2530)
Fe (0.8332, 0.1668, 0.7470)
Fe (0.8332, 0.6664, 0.2530)
Fe (0.8332, 0.6664, 0.7470)
Ge (0.0000, 0.0000, 0.3435)
Ge (0.0000, 0.0000, 0.6565)
Ge (0.0000, 0.3242, 0.0000)
Ge (0.0000, 0.3423, 0.5000)
Ge (0.0000, 0.6577, 0.5000)
Ge (0.0000, 0.6758, 0.0000)
Ge (0.3242, 0.0000, 0.0000)
Ge (0.3242, 0.3242, 0.0000)
Ge (0.3333, 0.6667, 0.1580)
Ge (0.3333, 0.6667, 0.8420)
Ge (0.3423, 0.0000, 0.5000)
Ge (0.3423, 0.3423, 0.5000)
Ge (0.6577, 0.0000, 0.5000)
Ge (0.6577, 0.6577, 0.5000)
Ge (0.6667, 0.3333, 0.1580)
Ge (0.6667, 0.3333, 0.8420)
Ge (0.6758, 0.0000, 0.0000)
Ge (0.6758, 0.6758, 0.0000)

total magnetization: 12.7 μB per formula unit
energy: -13.33 eV per atom
formation energy: -0.088 eV per atom
calculated volume: 176.51 Å³/f.u.

---

Entry 2:
Here is a relaxed MgFe6Ge6 crystal from the Materials Project. Energies are from r2SCAN.

a b c (Å): 5.0473 5.0473 8.1833
angles (deg): 90.00 90.00 120.00
Atoms (fractional coordinates):
Mg (0.0000, 0.0000, 0.0000)
Fe (0.0000, 0.5000, 0.2490)
Fe (0.0000, 0.5000, 0.7510)
Fe (0.5000, 0.0000, 0.2490)
Fe (0.5000, 0.0000, 0.7510)
Fe (0.5000, 0.5000, 0.2490)
Fe (0.5000, 0.5000, 0.7510)
Ge (0.0000, 0.0000, 0.3426)
Ge (0.0000, 0.0000, 0.6574)
Ge (0.3333, 0.6667, 0.0000)
Ge (0.3333, 0.6667, 0.5000)
Ge (0.6667, 0.3333, 0.0000)
Ge (0.6667, 0.3333, 0.5000)

total magnetization: 13.6 μB per formula unit
energy: -13.42 eV per atom
formation energy: -0.047 eV per atom
calculated volume: 180.54 Å³/f.u.